This record from the Materials Project describes a geometry-optimized Na4TiSi3GeO12 structure. The functional is GGA-PBE.

Summary:
* symmetry: P3 (143)
* energy relative to the elements: -2797 meV/atom
* V: 1497.57 Å³/cell
* raw total energy: -863.73 eV for the cell shown

Lattice parameters (Å, degrees): 8.8907 8.8907 21.8769 90.00 90.00 120.00
Last column: nearest neighbours and their distance in Å.
Atoms (fractional coordinates):
Na1 0.0000 0.0000 0.0834  6 O 2.48-2.49
Na2 0.0000 0.0000 0.5829  6 O 2.48-2.49
Na3 0.0003 0.3686 0.8333  6 O 2.39-2.62
Na4 0.0000 0.6315 0.3334  6 O 2.40-2.60
Na5 0.0333 0.7000 0.6665  6 O 2.41-2.62
Na6 0.0354 0.3345 0.1671  6 O 2.39-2.63
Na7 0.2991 0.9646 0.1671  6 O 2.39-2.63
Na8 0.3000 0.3334 0.6665  6 O 2.41-2.62
Na9 0.3334 0.2990 0.0000  6 O 2.40-2.65
Na10 0.3333 0.6667 0.2501  6 O 2.48-2.49
Na11 0.3333 0.6667 0.7501  6 O 2.47-2.49
Na12 0.3342 0.0360 0.4994  6 O 2.39-2.63
Na13 0.3683 0.9997 0.8333  6 O 2.39-2.62
Na14 0.3685 0.3685 0.3334  6 O 2.40-2.60
Na15 0.6315 0.0000 0.3334  6 O 2.40-2.60
Na16 0.6314 0.6317 0.8333  6 O 2.39-2.62
Na17 0.6655 0.7009 0.1671  6 O 2.39-2.63
Na18 0.6667 0.3333 0.4165  6 O 2.49-2.50
Na19 0.6667 0.3333 0.9166  6 O 2.48-2.50
Na20 0.6666 0.9667 0.6665  6 O 2.41-2.62
Na21 0.7010 0.0344 0.0000  6 O 2.40-2.65
Na22 0.7018 0.6658 0.4994  6 O 2.39-2.63
Na23 0.9640 0.2982 0.4994  6 O 2.39-2.63
Na24 0.9656 0.6666 0.0000  6 O 2.40-2.65
Ti1 0.0000 0.0000 0.9352  6 O 1.90-2.03
Ti2 0.3333 0.6667 0.1030  6 O 1.90-2.04
Ti3 0.3333 0.6667 0.8972  6 O 1.90-2.04
Ti4 0.6667 0.3333 0.0658  6 O 1.91-2.03
Ti5 0.6667 0.3333 0.5638  6 O 1.92-2.03
Ti6 0.6667 0.3333 0.7683  6 O 1.92-2.02
Si1 0.0001 0.2874 0.3334  4 O 1.65-1.66
Si2 0.9995 0.7121 0.8320  4 O 1.63-1.65
Si3 0.0426 0.3762 0.0001  4 O 1.63-1.64
Si4 0.0491 0.6695 0.4988  4 O 1.64-1.66
Si5 0.2873 0.9999 0.3334  4 O 1.65-1.66
Si6 0.2879 0.2875 0.8320  4 O 1.63-1.65
Si7 0.3305 0.3795 0.4988  4 O 1.64-1.66
Si8 0.3337 0.9574 0.0001  4 O 1.63-1.64
Si9 0.3727 0.0392 0.6663  4 O 1.64-1.65
Si10 0.3760 0.3300 0.1691  4 O 1.63-1.65
Si11 0.6205 0.9509 0.4988  4 O 1.64-1.66
Si12 0.6238 0.6663 0.0001  4 O 1.63-1.64
Si13 0.6664 0.6273 0.6663  4 O 1.64-1.65
Si14 0.6700 0.0459 0.1691  4 O 1.63-1.65
Si15 0.7125 0.0005 0.8320  4 O 1.63-1.65
Si16 0.7126 0.7127 0.3334  4 O 1.65-1.66
Si17 0.9541 0.6240 0.1691  4 O 1.63-1.65
Si18 0.9608 0.3336 0.6663  4 O 1.64-1.65
Ge1 0.0000 0.0000 0.2316  6 O 1.89-1.97
Ge2 0.0000 0.0000 0.4355  6 O 1.89-1.98
Ge3 0.0000 0.0000 0.7307  6 O 1.87-1.97
Ge4 0.3333 0.6667 0.3967  6 O 1.88-1.98
Ge5 0.3333 0.6667 0.6013  6 O 1.89-1.98
Ge6 0.6667 0.3333 0.2701  6 O 1.88-1.98
O1 0.0252 0.1853 0.9951  1 Si 1.63
O2 0.0282 0.8440 0.4932  1 Si 1.66
O3 0.0402 0.8390 0.7721  1 Si 1.65
O4 0.0416 0.2034 0.2731  1 Si 1.65
O5 0.1319 0.5017 0.9404  1 Si 1.64
O6 0.1330 0.6267 0.4389  1 Si 1.64
O7 0.1457 0.6426 0.1624  1 Si 1.63
O8 0.1526 0.5098 0.6598  1 Si 1.65
O9 0.1560 0.1843 0.4932  1 Si 1.66
O10 0.1601 0.9748 0.9951  1 Si 1.63
O11 0.1610 0.2012 0.7721  1 Si 1.65
O12 0.1618 0.9584 0.2731  1 Si 1.65
O13 0.1687 0.4658 0.0595  1 Si 1.64
O14 0.1724 0.6932 0.8375  1 Si 1.63
O15 0.1723 0.7092 0.5599  1 Si 1.65
O16 0.1749 0.4822 0.3395  1 Si 1.66
O17 0.1810 0.0238 0.6729  1 Si 1.65
O18 0.1824 0.1547 0.1740  1 Si 1.65
O19 0.2011 0.1640 0.8922  1 Si 1.64
O20 0.2031 0.0415 0.3937  1 Si 1.65
O21 0.2908 0.4631 0.5599  1 Si 1.65
O22 0.2972 0.8313 0.0595  1 Si 1.64
O23 0.3068 0.4792 0.8375  1 Si 1.63
O24 0.3073 0.8251 0.3395  1 Si 1.66
O25 0.3574 0.5031 0.1624  1 Si 1.63
O26 0.3572 0.8474 0.6598  1 Si 1.65
O27 0.3697 0.8681 0.9404  1 Si 1.64
O28 0.3733 0.5062 0.4389  1 Si 1.64
O29 0.4625 0.1672 0.6074  1 Si 1.64
O30 0.4626 0.2935 0.1085  1 Si 1.64
O31 0.4802 0.3067 0.8273  1 Si 1.63
O32 0.4821 0.1749 0.3272  1 Si 1.66
O33 0.4902 0.6428 0.6598  1 Si 1.65
O34 0.4938 0.8670 0.4389  1 Si 1.64
O35 0.4969 0.8543 0.1624  1 Si 1.63
O36 0.4983 0.6303 0.9404  1 Si 1.64
O37 0.4999 0.1281 0.7256  1 Si 1.64
O38 0.5033 0.3590 0.5053  1 Si 1.64
O39 0.5054 0.3729 0.2282  1 Si 1.64
O40 0.5071 0.1484 0.0053  1 Si 1.63
O41 0.5178 0.6927 0.3395  1 Si 1.66
O42 0.5208 0.8276 0.8375  1 Si 1.63
O43 0.5342 0.7028 0.0595  1 Si 1.64
O44 0.5369 0.8277 0.5599  1 Si 1.65
O45 0.6271 0.1325 0.2282  1 Si 1.64
O46 0.6282 0.5001 0.7256  1 Si 1.64
O47 0.6410 0.1443 0.5053  1 Si 1.64
O48 0.6412 0.4929 0.0053  1 Si 1.63
O49 0.6933 0.1736 0.8273  1 Si 1.63
O50 0.6927 0.5179 0.3272  1 Si 1.66
O51 0.7048 0.5375 0.6074  1 Si 1.64
O52 0.7065 0.1690 0.1085  1 Si 1.64
O53 0.7966 0.8382 0.2731  1 Si 1.65
O54 0.7988 0.9598 0.7721  1 Si 1.65
O55 0.8147 0.8399 0.9951  1 Si 1.63
O56 0.8157 0.9718 0.4932  1 Si 1.66
O57 0.8251 0.3073 0.3272  1 Si 1.66
O58 0.8264 0.5198 0.8273  1 Si 1.63
O59 0.8310 0.5374 0.1085  1 Si 1.64
O60 0.8328 0.2952 0.6074  1 Si 1.64
O61 0.8360 0.0371 0.8922  1 Si 1.64
O62 0.8383 0.7969 0.3937  1 Si 1.65
O63 0.8427 0.8190 0.6729  1 Si 1.65
O64 0.8453 0.0276 0.1740  1 Si 1.65
O65 0.8516 0.3588 0.0053  1 Si 1.63
O66 0.8557 0.4967 0.5053  1 Si 1.64
O67 0.8675 0.4946 0.2282  1 Si 1.64
O68 0.8719 0.3718 0.7256  1 Si 1.64
O69 0.9585 0.1617 0.3937  1 Si 1.65
O70 0.9629 0.7989 0.8922  1 Si 1.64
O71 0.9724 0.8176 0.1740  1 Si 1.65
O72 0.9762 0.1573 0.6729  1 Si 1.65

---

This record from the Materials Project describes a geometry-optimized IrW structure. The functional is GGA-PBE.

Summary:
* symmetry: P-6m2 (187)
* energy relative to the elements: -178 meV/atom
* V: 30.58 Å³/cell
* energy above the most stable polymorph in this dataset: 130.0 meV/atom
* raw total energy: -22.15 eV for the cell shown

Lattice parameters (Å, degrees): 2.8061 2.8061 4.4839 90.00 90.00 120.00
Last column: nearest neighbours and their distance in Å.
Atoms (fractional coordinates):
Ir1 0.0000 0.0000 0.0000  6 W 2.77, 6 Ir 2.81
W1 0.6667 0.3333 0.5000  6 Ir 2.77, 6 W 2.81

---

This record from the Materials Project describes a geometry-optimized Na6Ca2Ti6Si5S7O48 structure. The functional is GGA-PBE.

Summary:
* symmetry: P1 (1)
* energy relative to the elements: -2665 meV/atom
* V: 3112.28 Å³/cell
* raw total energy: -1551.31 eV for the cell shown

Lattice parameters (Å, degrees): 8.9366 15.3212 22.7311 89.71 89.91 90.00
Last column: nearest neighbours and their distance in Å.
Atoms (fractional coordinates):
Na1 0.0000 0.0000 0.0000  6 O 2.43-2.66
Na2 0.9999 0.6585 0.8252  6 O 2.53-2.81
Na3 0.0011 0.6654 0.3267  6 O 2.59-2.64
Na4 0.0054 0.9947 0.4934  5 O 2.32-2.58
Na5 0.0074 0.3211 0.1626  5 O 2.49-2.60
Na6 0.0094 0.3362 0.6622  6 O 2.48-2.77
Na7 0.1930 0.1656 0.7504  3 O 2.29-2.54
Na8 0.3093 0.6664 0.2535  3 O 2.28-2.54
Na9 0.4934 0.8194 0.6582  5 O 2.46-2.73
Na10 0.4946 0.8341 0.1654  5 O 2.51-2.81
Na11 0.4965 0.4989 0.9920  5 O 2.30-2.56
Na12 0.5017 0.1590 0.3308  6 O 2.57-2.77
Na13 0.5022 0.1643 0.8205  5 O 2.50-2.78
Na14 0.5036 0.5034 0.5002  6 O 2.45-2.71
Na15 0.6511 0.0065 0.7504  3 O 2.29-2.52
Na16 0.6663 0.3141 0.7524  3 O 2.27-2.50
Na17 0.8395 0.8139 0.2560  3 O 2.29-2.54
Na18 0.8558 0.5068 0.2528  3 O 2.28-2.51
Ca1 0.0043 0.9997 0.3573  5 O 2.16-2.38
Ca2 0.0043 0.6632 0.1733  6 O 2.20-2.30
Ca3 0.5004 0.1631 0.6732  6 O 2.21-2.28
Ca4 0.5006 0.4993 0.8568  6 O 2.15-2.40
Ca5 0.5040 0.4931 0.3540  6 O 2.13-2.37
Ca6 0.9990 0.9935 0.8536  4 O 2.12-2.36
Ti1 0.0003 0.6613 0.6714  3 O 1.80-1.83
Ti2 0.0059 0.3239 0.3142  4 O 1.83-2.04
Ti3 0.0167 0.3392 0.8047  3 O 1.80-1.97
Ti4 0.0237 0.9988 0.1404  3 O 1.81-1.96
Ti5 0.0276 0.9957 0.6494  3 O 1.78-1.92
Ti6 0.4797 0.4992 0.6388  3 O 1.83-1.91
Ti7 0.4859 0.5001 0.1520  2 O 1.78-1.79
Ti8 0.4874 0.8369 0.3098  3 O 1.81-2.02
Ti9 0.4895 0.8248 0.5212  4 O 1.80-1.97
Ti10 0.5033 0.8190 0.8081  3 O 1.84-2.00
Ti11 0.5040 0.8289 0.0176  5 O 1.78-1.99
Ti12 0.5091 0.1568 0.1746  2 O 1.79-1.80
Ti13 0.5095 0.1565 0.9819  2 O 1.81-1.82
Ti14 0.5121 0.1536 0.4724  3 O 1.79-1.96
Ti15 0.9928 0.6554 0.9708  2 O 1.79-1.80
Ti16 0.9954 0.6670 0.4854  3 O 1.82-1.86
Ti17 0.9982 0.3245 0.0159  4 O 1.78-1.96
Ti18 0.9982 0.3298 0.5181  6 O 1.79-2.00
Si1 0.1396 0.4698 0.9179  4 O 1.57-1.70
Si2 0.1411 0.5169 0.5770  4 O 1.63-1.66
Si3 0.1414 0.8121 0.5805  4 O 1.63-1.66
Si4 0.1480 0.8545 0.2484  4 O 1.58-1.71
Si5 0.2007 0.4879 0.2509  4 O 1.57-1.74
Si6 0.3029 0.9890 0.7521  4 O 1.58-1.71
Si7 0.3594 0.3550 0.7482  4 O 1.58-1.69
Si8 0.3602 0.0143 0.0783  4 O 1.62-1.65
Si9 0.3635 0.9704 0.4195  4 O 1.57-1.70
Si10 0.6469 0.6470 0.2504  4 O 1.59-1.77
Si11 0.6527 0.6894 0.9175  4 O 1.57-1.68
Si12 0.7081 0.6609 0.5803  4 O 1.62-1.66
Si13 0.7977 0.1606 0.0805  4 O 1.62-1.68
Si14 0.8500 0.1892 0.4181  4 O 1.57-1.68
Si15 0.8603 0.1445 0.7484  4 O 1.59-1.72
S1 0.1569 0.1452 0.2439  4 O 1.44-1.51
S2 0.1567 0.1887 0.9170  4 O 1.47-1.50
S3 0.1981 0.1613 0.5766  4 O 1.46-1.51
S4 0.2207 0.8214 0.9188  4 O 1.46-1.50
S5 0.2839 0.3214 0.4192  4 O 1.46-1.52
S6 0.3081 0.6590 0.0771  4 O 1.46-1.51
S7 0.3460 0.6435 0.7453  4 O 1.44-1.53
S8 0.3476 0.6891 0.4164  4 O 1.47-1.51
S9 0.3598 0.3065 0.0793  4 O 1.48-1.49
S10 0.6315 0.9755 0.9162  4 O 1.47-1.51
S11 0.6476 0.3432 0.2444  4 O 1.45-1.51
S12 0.6515 0.3163 0.5772  4 O 1.46-1.51
S13 0.6566 0.0098 0.5766  4 O 1.46-1.53
S14 0.7055 0.0007 0.2449  4 O 1.45-1.52
S15 0.7163 0.3191 0.9157  4 O 1.46-1.51
S16 0.7812 0.8183 0.4155  4 O 1.46-1.51
S17 0.8001 0.5011 0.7459  4 O 1.45-1.55
S18 0.8458 0.5091 0.0765  4 O 1.46-1.51
S19 0.8515 0.8157 0.0772  4 O 1.46-1.51
S20 0.8542 0.8416 0.7465  4 O 1.45-1.54
S21 0.8736 0.4746 0.4149  4 O 1.46-1.53
O1 0.0489 0.8901 0.3006  1 Si 1.58
O2 0.0513 0.5674 0.9246  1 Si 1.70, 1 Ti 1.79
O3 0.0632 0.7633 0.5233  1 Si 1.66, 1 Ti 1.82
O4 0.0645 0.9069 0.5919  1 Si 1.63
O5 0.0681 0.4235 0.8586  1 Si 1.66, 1 Ti 1.84
O6 0.0692 0.5629 0.6354  1 Si 1.64, 1 Ti 1.83
O7 0.0744 0.4181 0.5712  1 Si 1.63
O8 0.0789 0.2321 0.2499  1 S 1.51
O9 0.0793 0.4113 0.9740  1 Si 1.65, 1 Ti 1.78
O10 0.0856 0.1035 0.1912  1 S 1.50
O11 0.0869 0.5661 0.2380  1 Si 1.60
O12 0.0885 0.1015 0.9200  1 S 1.47
O13 0.0950 0.2377 0.5669  1 S 1.51
O14 0.0974 0.2357 0.9701  1 S 1.50
O15 0.0972 0.3975 0.2578  1 Si 1.67
O16 0.1057 0.0800 0.5793  1 S 1.50
O17 0.1074 0.7541 0.2366  1 Si 1.60
O18 0.1090 0.9182 0.1882  1 Si 1.71, 1 Ti 1.81
O19 0.1114 0.5802 0.5200  1 Si 1.64
O20 0.1110 0.7467 0.6368  1 Si 1.64, 1 Ti 1.82
O21 0.1180 0.2359 0.8619  1 S 1.48
O22 0.1207 0.8970 0.9192  1 S 1.46
O23 0.1327 0.7384 0.9229  1 S 1.50
O24 0.1441 0.0945 0.2973  1 S 1.44
O25 0.1713 0.3570 0.7551  1 Si 1.69, 1 Ti 1.80
O26 0.1776 0.0101 0.0868  1 Si 1.64
O27 0.1818 0.6847 0.4175  1 S 1.48
O28 0.1840 0.6600 0.7369  1 S 1.48
O29 0.1877 0.3288 0.4715  1 S 1.47
O30 0.1895 0.3170 0.3639  1 S 1.52
O31 0.1891 0.9831 0.4214  1 Si 1.57
O32 0.1918 0.9750 0.6917  1 Si 1.71, 1 Ti 1.78
O33 0.1939 0.3147 0.0747  1 S 1.49
O34 0.1988 0.6507 0.0290  1 S 1.47
O35 0.2022 0.0116 0.8069  1 Si 1.58
O36 0.2389 0.6749 0.1342  1 S 1.46
O37 0.2674 0.1773 0.6339  1 S 1.46
O38 0.3033 0.5094 0.3051  1 Si 1.57
O39 0.3085 0.1542 0.5285  1 S 1.48
O40 0.3127 0.8154 0.8643  1 S 1.49
O41 0.3140 0.4812 0.9215  1 Si 1.57
O42 0.3162 0.8292 0.9719  1 S 1.49
O43 0.3173 0.4760 0.1901  1 Si 1.74, 1 Ti 1.78
O44 0.3190 0.1625 0.2322  1 S 1.50
O45 0.3228 0.1854 0.9216  1 S 1.49
O46 0.3238 0.8210 0.5728  1 Si 1.64
O47 0.3247 0.5088 0.5867  1 Si 1.66, 1 Ti 1.83
O48 0.3344 0.8550 0.2574  1 Si 1.68, 1 Ti 1.83
O49 0.3673 0.5946 0.7989  1 S 1.44
O50 0.3695 0.2382 0.4209  1 S 1.49
O51 0.3823 0.3971 0.4184  1 S 1.46
O52 0.3892 0.2518 0.1326  1 S 1.49
O53 0.3902 0.7370 0.3607  1 S 1.51
O54 0.3935 0.0783 0.0211  1 Si 1.65, 1 Ti 1.82
O55 0.3970 0.2539 0.7372  1 Si 1.61
O56 0.4001 0.4180 0.6891  1 Si 1.69, 1 Ti 1.83
O57 0.4017 0.5770 0.0803  1 S 1.51
O58 0.4026 0.7353 0.4693  1 S 1.48
O59 0.4057 0.8985 0.7601  1 Si 1.67, 1 Ti 1.85
O60 0.4118 0.7350 0.0671  1 S 1.50
O61 0.4159 0.6037 0.6921  1 S 1.49
O62 0.4179 0.6023 0.4181  1 S 1.47
O63 0.4187 0.0665 0.7391  1 Si 1.60
O64 0.4231 0.9119 0.4743  1 Si 1.62, 1 Ti 1.80
O65 0.4244 0.2634 0.0264  1 S 1.49
O66 0.4237 0.7322 0.7505  1 S 1.53
O67 0.4299 0.9173 0.0735  1 Si 1.62
O68 0.4305 0.3933 0.0855  1 S 1.48
O69 0.4326 0.0662 0.1347  1 Si 1.64, 1 Ti 1.80
O70 0.4342 0.9239 0.3594  1 Si 1.67, 1 Ti 1.81
O71 0.4526 0.0679 0.4243  1 Si 1.70, 1 Ti 1.79
O72 0.4525 0.3880 0.8027  1 Si 1.58
O73 0.5524 0.7395 0.2562  1 Si 1.66
O74 0.5586 0.5907 0.1921  1 Si 1.77, 1 Ti 1.79
O75 0.5619 0.0652 0.9188  1 S 1.51
O76 0.5754 0.9263 0.9680  1 S 1.48
O77 0.5780 0.4036 0.5796  1 S 1.49
O78 0.5814 0.9356 0.8600  1 S 1.49
O79 0.5835 0.2653 0.5294  1 S 1.47
O80 0.5852 0.2549 0.2330  1 S 1.49
O81 0.5861 0.3735 0.2996  1 S 1.45
O82 0.5880 0.5946 0.9227  1 Si 1.57
O83 0.5913 0.7508 0.9713  1 Si 1.64, 1 Ti 1.78
O84 0.5921 0.0387 0.6325  1 S 1.47
O85 0.5941 0.0743 0.2348  1 S 1.52
O86 0.5964 0.9211 0.5664  1 S 1.48
O87 0.6007 0.7456 0.5723  1 Si 1.62
O88 0.6027 0.5755 0.5928  1 Si 1.64
O89 0.6077 0.0734 0.5282  1 S 1.53
O90 0.6093 0.7450 0.8566  1 Si 1.67, 1 Ti 1.84
O91 0.6153 0.4046 0.1937  1 S 1.51
O92 0.6159 0.2408 0.9215  1 S 1.50
O93 0.6170 0.9163 0.2492  1 S 1.52
O94 0.6306 0.3996 0.9203  1 S 1.46
O95 0.6415 0.5779 0.3026  1 Si 1.59
O96 0.6448 0.2718 0.6342  1 S 1.46
O97 0.6626 0.1897 0.4240  1 Si 1.68, 1 Ti 1.82
O98 0.6792 0.8164 0.4662  1 S 1.47
O99 0.6804 0.1474 0.0238  1 Si 1.68, 1 Ti 1.81
O100 0.6808 0.1758 0.1360  1 Si 1.65, 1 Ti 1.79
O101 0.6808 0.5028 0.0781  1 S 1.48
O102 0.6818 0.8387 0.7503  1 S 1.54
O103 0.6875 0.8323 0.0667  1 S 1.51
O104 0.6884 0.1684 0.7358  1 Si 1.61
O105 0.6971 0.8124 0.3579  1 S 1.51
O106 0.7008 0.4879 0.6949  1 S 1.47
O107 0.7100 0.4759 0.4182  1 S 1.46
O108 0.7231 0.5168 0.8011  1 S 1.45
O109 0.7797 0.0201 0.2997  1 S 1.45
O110 0.7947 0.9808 0.9213  1 S 1.47
O111 0.7995 0.3108 0.8597  1 S 1.48
O112 0.8060 0.9893 0.1938  1 S 1.48
O113 0.8161 0.3327 0.5673  1 S 1.51
O114 0.8167 0.3393 0.2471  1 S 1.51
O115 0.8186 0.6436 0.5229  1 Si 1.66, 1 Ti 1.83
O116 0.8185 0.6677 0.2367  1 Si 1.60
O117 0.8204 0.0081 0.5769  1 S 1.46
O118 0.8210 0.3163 0.9676  1 S 1.51
O119 0.8212 0.6762 0.6363  1 Si 1.64, 1 Ti 1.80
O120 0.8403 0.6891 0.9241  1 Si 1.68, 1 Ti 1.80
O121 0.8576 0.7710 0.1339  1 S 1.46
O122 0.8620 0.0796 0.8035  1 Si 1.59
O123 0.8715 0.8980 0.4173  1 S 1.46
O124 0.8803 0.7382 0.4176  1 S 1.51
O125 0.8830 0.9019 0.6960  1 S 1.49
O126 0.8864 0.4138 0.7504  1 S 1.55
O127 0.8902 0.5720 0.0282  1 S 1.51
O128 0.8947 0.2454 0.3567  1 Si 1.68, 1 Ti 1.83
O129 0.8990 0.0746 0.0913  1 Si 1.62
O130 0.9037 0.2462 0.0731  1 Si 1.63
O131 0.9083 0.5377 0.1327  1 S 1.46
O132 0.9094 0.4200 0.0665  1 S 1.50
O133 0.9109 0.7520 0.7369  1 S 1.48
O134 0.9124 0.2506 0.4715  1 Si 1.64, 1 Ti 1.79
O135 0.9115 0.5725 0.7372  1 S 1.49
O136 0.9133 0.8732 0.8019  1 S 1.45
O137 0.9154 0.0945 0.4226  1 Si 1.57
O138 0.9210 0.7646 0.0293  1 S 1.48
O139 0.9241 0.4297 0.3581  1 S 1.53
O140 0.9255 0.9030 0.0798  1 S 1.49
O141 0.9288 0.4250 0.4664  1 S 1.48
O142 0.9424 0.5619 0.4143  1 S 1.47
O143 0.9467 0.0897 0.6918  1 Si 1.72, 1 Ti 1.88
O144 0.9538 0.2391 0.7569  1 Si 1.69